A plane-wave DFT calculation with PBE was carried out for crystalline BaC4O10 at its relaxed geometry.

a = 8.522 Å, b = 8.522 Å, c = 13.395 Å
α = 59.72°, β = 59.72°, γ = 47.72°
Positions (direct):
Ba 0.900 0.100 0.250
Ba 0.100 0.900 0.750
C 0.364 0.739 0.024
C 0.636 0.261 0.976
C 0.261 0.636 0.476
C 0.739 0.364 0.524
C 0.671 0.865 0.598
C 0.329 0.135 0.402
C 0.135 0.329 0.902
C 0.865 0.671 0.098
O 0.369 0.711 0.118
O 0.631 0.289 0.882
O 0.289 0.631 0.382
O 0.711 0.369 0.618
O 0.641 0.233 0.070
O 0.359 0.767 0.930
O 0.767 0.359 0.430
O 0.233 0.641 0.570
O 0.189 0.129 0.211
O 0.811 0.871 0.789
O 0.871 0.811 0.289
O 0.129 0.189 0.711
O 0.726 0.985 0.525
O 0.274 0.015 0.475
O 0.015 0.274 0.975
O 0.985 0.726 0.025
O 0.383 0.255 0.333
O 0.617 0.745 0.667
O 0.745 0.617 0.167
O 0.255 0.383 0.833

Calculated values
**E**: -7.003 eV/atom
**Crystal system**: monoclinic
**Calculated formation energy**: -1.5735 eV/atom

=====

A plane-wave DFT calculation with PBE was carried out for crystalline Na6US4O20 at its relaxed geometry.

a = 5.616 Å, b = 11.415 Å, c = 14.192 Å
α = 90.73°, β = 93.27°, γ = 100.26°
Positions (direct):
Na 0.854 0.765 0.421
Na 0.146 0.235 0.579
Na 0.235 0.769 0.247
Na 0.765 0.231 0.753
Na 0.253 0.464 0.415
Na 0.747 0.536 0.585
Na 0.284 0.042 0.108
Na 0.716 0.958 0.892
Na 0.652 0.771 0.094
Na 0.348 0.229 0.906
Na 0.500 0.000 0.500
Na 0.000 0.500 0.000
U 0.259 0.710 0.757
U 0.741 0.290 0.243
S 0.301 0.437 0.749
S 0.699 0.563 0.251
S 0.314 0.714 0.507
S 0.686 0.286 0.493
S 0.149 0.791 0.995
S 0.851 0.209 0.005
S 0.778 0.970 0.256
S 0.222 0.030 0.744
O 0.960 0.647 0.706
O 0.040 0.353 0.294
O 0.557 0.776 0.807
O 0.443 0.224 0.193
O 0.238 0.506 0.834
O 0.762 0.494 0.166
O 0.407 0.535 0.684
O 0.593 0.465 0.316
O 0.770 0.950 0.360
O 0.230 0.050 0.640
O 0.850 0.102 0.240
O 0.150 0.898 0.760
O 0.380 0.766 0.606
O 0.620 0.234 0.394
O 0.509 0.649 0.481
O 0.491 0.351 0.519
O 0.079 0.632 0.505
O 0.921 0.368 0.495
O 0.101 0.713 0.905
O 0.899 0.287 0.095
O 0.078 0.366 0.703
O 0.922 0.634 0.297
O 0.534 0.927 0.209
O 0.466 0.073 0.791
O 0.298 0.814 0.442
O 0.702 0.186 0.558
O 0.476 0.360 0.776
O 0.524 0.640 0.224
O 0.959 0.864 0.999
O 0.041 0.136 0.001
O 0.138 0.707 0.075
O 0.862 0.293 0.925
O 0.959 0.908 0.215
O 0.041 0.092 0.785
O 0.392 0.867 0.995
O 0.608 0.133 0.005
O 0.842 0.909 0.565
O 0.158 0.091 0.435
O 0.642 0.597 0.969
O 0.358 0.403 0.031

Calculated values
**E**: -5.979 eV/atom
**Crystal system**: triclinic
**Calculated formation energy**: -2.0758 eV/atom

=====

A plane-wave DFT calculation with PBE was carried out for crystalline MoH at its relaxed geometry.

a = 2.929 Å, b = 2.929 Å, c = 5.140 Å
α = 90.00°, β = 90.00°, γ = 120.00°
Positions (direct):
Mo 0.000 0.000 0.500
Mo 0.000 0.000 0.000
H 0.667 0.333 0.750
H 0.333 0.667 0.250

Calculated values
**E**: -6.636 eV/atom
**Crystal system**: hexagonal
**Calculated formation energy**: 0.3940 eV/atom

=====

A plane-wave DFT calculation with PBE was carried out for crystalline NaNd3GeS7 at its relaxed geometry.

a = 10.297 Å, b = 10.297 Å, c = 5.867 Å
α = 90.00°, β = 90.00°, γ = 120.00°
Positions (direct):
Na 0.000 0.000 0.480
Na 0.000 0.000 0.980
Nd 0.769 0.130 0.751
Nd 0.361 0.231 0.751
Nd 0.870 0.639 0.751
Nd 0.231 0.870 0.251
Nd 0.639 0.769 0.251
Nd 0.130 0.361 0.251
Ge 0.667 0.333 0.334
Ge 0.333 0.667 0.834
S 0.667 0.333 0.958
S 0.333 0.667 0.458
S 0.741 0.835 0.726
S 0.094 0.259 0.726
S 0.165 0.906 0.726
S 0.259 0.165 0.226
S 0.906 0.741 0.226
S 0.835 0.094 0.226
S 0.585 0.480 0.490
S 0.894 0.415 0.490
S 0.520 0.106 0.490
S 0.415 0.520 0.990
S 0.106 0.585 0.990
S 0.480 0.894 0.990

Calculated values
**E**: -5.630 eV/atom
**Crystal system**: hexagonal
**Calculated formation energy**: -1.8228 eV/atom

=====

A plane-wave DFT calculation with PBE was carried out for crystalline MgZn at its relaxed geometry.

a = 5.112 Å, b = 5.112 Å, c = 4.822 Å
α = 90.00°, β = 90.00°, γ = 119.80°
Positions (direct):
Mg 0.982 0.328 0.000
Mg 0.328 0.982 0.000
Mg 0.355 0.355 0.500
Zn 0.672 0.672 0.000
Zn 0.990 0.673 0.500
Zn 0.673 0.990 0.500

Calculated values
**E**: -1.469 eV/atom
**Crystal system**: orthorhombic
**Calculated formation energy**: -0.0387 eV/atom

=====

A plane-wave DFT calculation with PBE was carried out for crystalline TiF3 at its relaxed geometry.

a = 3.950 Å, b = 3.950 Å, c = 3.950 Å
α = 90.00°, β = 90.00°, γ = 90.00°
Positions (direct):
Ti 0.000 0.000 0.000
F 0.000 0.000 0.500
F 0.000 0.500 0.000
F 0.500 0.000 0.000

Calculated values
**E**: -6.732 eV/atom
**Crystal system**: cubic
**Calculated formation energy**: -3.6690 eV/atom

=====

A plane-wave DFT calculation with PBE was carried out for crystalline LiCaAs at its relaxed geometry.

a = 4.338 Å, b = 7.260 Å, c = 7.923 Å
α = 90.00°, β = 90.00°, γ = 90.00°
Positions (direct):
Li 0.250 0.149 0.931
Li 0.250 0.649 0.569
Li 0.750 0.851 0.069
Li 0.750 0.351 0.431
Ca 0.250 0.014 0.302
Ca 0.250 0.514 0.198
Ca 0.750 0.986 0.698
Ca 0.750 0.486 0.802
As 0.250 0.269 0.602
As 0.250 0.769 0.898
As 0.750 0.731 0.398
As 0.750 0.231 0.102

Calculated values
**E**: -3.917 eV/atom
**Crystal system**: orthorhombic
**Calculated formation energy**: -1.0586 eV/atom

=====

A plane-wave DFT calculation with PBE was carried out for crystalline CeYGa2Pd4 at its relaxed geometry.

a = 5.701 Å, b = 7.132 Å, c = 7.455 Å
α = 90.00°, β = 90.00°, γ = 90.00°
Positions (direct):
Ce 0.899 0.500 0.534
Ce 0.101 0.500 0.034
Y 0.599 0.000 0.466
Y 0.401 0.000 0.966
Ga 0.599 0.500 0.885
Ga 0.401 0.500 0.385
Ga 0.899 0.000 0.118
Ga 0.101 0.000 0.618
Pd 0.337 0.698 0.681
Pd 0.663 0.302 0.181
Pd 0.164 0.198 0.318
Pd 0.836 0.802 0.818
Pd 0.164 0.802 0.318
Pd 0.836 0.198 0.818
Pd 0.337 0.302 0.681
Pd 0.663 0.698 0.181

Calculated values
**E**: -5.752 eV/atom
**Crystal system**: orthorhombic
**Calculated formation energy**: -0.8554 eV/atom

=====

A plane-wave DFT calculation with PBE was carried out for crystalline BaAlCu4O7 at its relaxed geometry.

a = 5.985 Å, b = 5.985 Å, c = 9.919 Å
α = 90.00°, β = 90.00°, γ = 120.00°
Positions (direct):
Ba 0.667 0.333 0.503
Ba 0.333 0.667 0.003
Al 0.667 0.333 0.881
Al 0.333 0.667 0.381
Cu 0.823 0.177 0.191
Cu 0.645 0.823 0.691
Cu 0.177 0.355 0.691
Cu 0.823 0.645 0.191
Cu 0.355 0.177 0.191
Cu 0.177 0.823 0.691
Cu 0.000 0.000 0.441
Cu 0.000 0.000 0.941
O 0.820 0.180 0.994
O 0.640 0.820 0.494
O 0.180 0.360 0.494
O 0.820 0.640 0.994
O 0.360 0.180 0.994
O 0.180 0.820 0.494
O 0.000 0.000 0.747
O 0.000 0.000 0.247
O 0.485 0.515 0.269
O 0.970 0.485 0.769
O 0.515 0.030 0.769
O 0.485 0.970 0.269
O 0.515 0.485 0.769
O 0.030 0.515 0.269

Calculated values
**E**: -5.620 eV/atom
**Crystal system**: hexagonal
**Calculated formation energy**: -1.6288 eV/atom

=====

A plane-wave DFT calculation with PBE was carried out for crystalline DyB2Ru at its relaxed geometry.

a = 5.918 Å, b = 5.336 Å, c = 6.366 Å
α = 90.00°, β = 90.00°, γ = 90.00°
Positions (direct):
Dy 0.010 0.250 0.337
Dy 0.510 0.250 0.163
Dy 0.990 0.750 0.663
Dy 0.490 0.750 0.837
B 0.370 0.084 0.539
B 0.870 0.416 0.961
B 0.630 0.584 0.461
B 0.130 0.916 0.039
B 0.630 0.916 0.461
B 0.130 0.584 0.039
B 0.370 0.416 0.539
B 0.870 0.084 0.961
Ru 0.182 0.250 0.818
Ru 0.682 0.250 0.682
Ru 0.818 0.750 0.182
Ru 0.318 0.750 0.318

Calculated values
**E**: -7.416 eV/atom
**Crystal system**: orthorhombic
**Calculated formation energy**: -0.6063 eV/atom

=====

A plane-wave DFT calculation with PBE was carried out for crystalline NbSe2SN2ClF6 at its relaxed geometry.

a = 8.544 Å, b = 10.678 Å, c = 13.716 Å
α = 60.76°, β = 90.00°, γ = 90.00°
Positions (direct):
Nb 0.191 0.765 0.322
Nb 0.809 0.235 0.678
Nb 0.691 0.235 0.178
Nb 0.309 0.765 0.822
Se 0.177 0.302 0.977
Se 0.096 0.319 0.364
Se 0.596 0.681 0.136
Se 0.677 0.698 0.523
Se 0.323 0.302 0.477
Se 0.904 0.681 0.636
Se 0.404 0.319 0.864
Se 0.823 0.698 0.023
S 0.229 0.051 0.950
S 0.729 0.949 0.550
S 0.271 0.051 0.450
S 0.771 0.949 0.050
N 0.118 0.140 0.389
N 0.624 0.871 0.504
N 0.882 0.860 0.611
N 0.382 0.140 0.889
N 0.876 0.871 0.004
N 0.618 0.860 0.111
N 0.376 0.129 0.496
N 0.124 0.129 0.996
Cl 0.812 0.547 0.813
Cl 0.688 0.547 0.313
Cl 0.312 0.453 0.687
Cl 0.188 0.453 0.187
F 0.653 0.445 0.102
F 0.763 0.034 0.749
F 0.489 0.205 0.248
F 0.011 0.205 0.748
F 0.285 0.753 0.199
F 0.594 0.225 0.053
F 0.715 0.247 0.801
F 0.094 0.775 0.447
F 0.391 0.719 0.400
F 0.153 0.555 0.398
F 0.609 0.281 0.600
F 0.737 0.034 0.249
F 0.347 0.555 0.898
F 0.989 0.795 0.252
F 0.109 0.719 0.900
F 0.785 0.247 0.301
F 0.237 0.966 0.251
F 0.847 0.445 0.602
F 0.511 0.795 0.752
F 0.906 0.225 0.553
F 0.891 0.281 0.100
F 0.263 0.966 0.751
F 0.406 0.775 0.947
F 0.215 0.753 0.699

Calculated values
**E**: -5.390 eV/atom
**Crystal system**: monoclinic
**Calculated formation energy**: -1.6622 eV/atom

=====

A plane-wave DFT calculation with PBE was carried out for crystalline BaEuTiBiO6 at its relaxed geometry.

a = 8.435 Å, b = 8.417 Å, c = 8.448 Å
α = 90.00°, β = 90.00°, γ = 90.00°
Positions (direct):
Ba 0.000 0.000 0.000
Ba 0.500 0.500 0.500
Ba 0.500 0.000 0.000
Ba 0.000 0.500 0.000
Eu 0.000 0.500 0.500
Eu 0.500 0.000 0.500
Eu 0.500 0.500 0.000
Eu 0.000 0.000 0.500
Ti 0.252 0.250 0.254
Ti 0.748 0.750 0.254
Ti 0.748 0.250 0.746
Ti 0.252 0.750 0.746
Bi 0.750 0.749 0.746
Bi 0.250 0.251 0.746
Bi 0.250 0.749 0.254
Bi 0.750 0.251 0.254
O 0.017 0.216 0.292
O 0.983 0.784 0.292
O 0.983 0.216 0.708
O 0.017 0.784 0.708
O 0.279 0.016 0.235
O 0.279 0.984 0.765
O 0.721 0.984 0.235
O 0.721 0.016 0.765
O 0.228 0.274 0.022
O 0.772 0.274 0.978
O 0.228 0.726 0.978
O 0.772 0.726 0.022
O 0.482 0.295 0.218
O 0.518 0.705 0.218
O 0.518 0.295 0.782
O 0.482 0.705 0.782
O 0.210 0.480 0.294
O 0.210 0.520 0.706
O 0.790 0.520 0.294
O 0.790 0.480 0.706
O 0.292 0.211 0.486
O 0.708 0.211 0.514
O 0.292 0.789 0.514
O 0.708 0.789 0.486

Calculated values
**E**: -7.799 eV/atom
**Crystal system**: orthorhombic
**Energy above the most stable polymorph in this dataset**: 0.000 eV/atom
**Calculated formation energy**: -2.8462 eV/atom